Entry 1:
! Sr3Mg GGA-PBE optimized geometry; values from VASP
! Crystal system: hexagonal
! Space group: P6_3/mmc, No. 194
&SYSTEM
  ibrav = 0, nat = 8, ntyp = 2
/
ATOMIC_SPECIES
Sr 87.62 Sr.upf
Mg 24.30 Mg.upf
CELL_PARAMETERS angstrom
7.971 0.000 0.000
-3.985 6.903 0.000
0.000 0.000 6.471
ATOMIC_POSITIONS crystal
Sr 0.171 0.342 0.250
Sr 0.171 0.829 0.250
Sr 0.342 0.171 0.750
Sr 0.658 0.829 0.250
Sr 0.829 0.171 0.750
Sr 0.829 0.658 0.750
Mg 0.333 0.667 0.750
Mg 0.667 0.333 0.250

=====

Entry 2:
! SrMg4 GGA-PBE optimized geometry; values from VASP
! Crystal system: hexagonal
! Space group: P6_3/mmc, No. 194
&SYSTEM
  ibrav = 0, nat = 90, ntyp = 2
/
ATOMIC_SPECIES
Sr 87.62 Sr.upf
Mg 24.30 Mg.upf
CELL_PARAMETERS angstrom
10.463 0.000 0.000
-5.232 9.061 0.000
0.000 0.000 27.917
ATOMIC_POSITIONS crystal
Sr 0.060 0.530 0.250
Sr 0.136 0.271 0.562
Sr 0.136 0.271 0.938
Sr 0.136 0.864 0.562
Sr 0.136 0.864 0.938
Sr 0.271 0.136 0.062
Sr 0.271 0.136 0.438
Sr 0.470 0.530 0.250
Sr 0.470 0.940 0.250
Sr 0.530 0.060 0.750
Sr 0.530 0.470 0.750
Sr 0.729 0.864 0.562
Sr 0.729 0.864 0.938
Sr 0.864 0.136 0.062
Sr 0.864 0.136 0.438
Sr 0.864 0.729 0.062
Sr 0.864 0.729 0.438
Sr 0.940 0.470 0.750
Mg 0.000 0.000 0.158
Mg 0.000 0.000 0.342
Mg 0.000 0.000 0.658
Mg 0.000 0.000 0.842
Mg 0.000 0.500 0.000
Mg 0.000 0.500 0.500
Mg 0.023 0.512 0.619
Mg 0.023 0.512 0.881
Mg 0.099 0.198 0.250
Mg 0.099 0.901 0.250
Mg 0.168 0.335 0.153
Mg 0.168 0.335 0.347
Mg 0.168 0.832 0.153
Mg 0.168 0.832 0.347
Mg 0.176 0.352 0.688
Mg 0.176 0.352 0.812
Mg 0.176 0.824 0.688
Mg 0.176 0.824 0.812
Mg 0.198 0.099 0.750
Mg 0.234 0.468 0.055
Mg 0.234 0.468 0.445
Mg 0.234 0.766 0.055
Mg 0.234 0.766 0.445
Mg 0.333 0.667 0.148
Mg 0.333 0.667 0.352
Mg 0.333 0.667 0.546
Mg 0.333 0.667 0.954
Mg 0.335 0.168 0.653
Mg 0.335 0.168 0.847
Mg 0.352 0.176 0.188
Mg 0.352 0.176 0.312
Mg 0.468 0.234 0.555
Mg 0.468 0.234 0.945
Mg 0.488 0.512 0.619
Mg 0.488 0.512 0.881
Mg 0.488 0.977 0.619
Mg 0.488 0.977 0.881
Mg 0.500 0.000 0.000
Mg 0.500 0.000 0.500
Mg 0.500 0.500 0.000
Mg 0.500 0.500 0.500
Mg 0.512 0.023 0.119
Mg 0.512 0.023 0.381
Mg 0.512 0.488 0.119
Mg 0.512 0.488 0.381
Mg 0.532 0.766 0.055
Mg 0.532 0.766 0.445
Mg 0.648 0.824 0.688
Mg 0.648 0.824 0.812
Mg 0.665 0.832 0.153
Mg 0.665 0.832 0.347
Mg 0.667 0.333 0.046
Mg 0.667 0.333 0.454
Mg 0.667 0.333 0.648
Mg 0.667 0.333 0.852
Mg 0.766 0.234 0.555
Mg 0.766 0.234 0.945
Mg 0.766 0.532 0.555
Mg 0.766 0.532 0.945
Mg 0.802 0.901 0.250
Mg 0.824 0.176 0.188
Mg 0.824 0.176 0.312
Mg 0.824 0.648 0.188
Mg 0.824 0.648 0.312
Mg 0.832 0.168 0.653
Mg 0.832 0.168 0.847
Mg 0.832 0.665 0.653
Mg 0.832 0.665 0.847
Mg 0.901 0.099 0.750
Mg 0.901 0.802 0.750
Mg 0.977 0.488 0.119
Mg 0.977 0.488 0.381

=====

Entry 3:
! SrMg2 GGA-PBE optimized geometry; values from VASP
! Crystal system: monoclinic
! Space group: C2/c, No. 15
&SYSTEM
  ibrav = 0, nat = 12, ntyp = 2
/
ATOMIC_SPECIES
Sr 87.62 Sr.upf
Mg 24.30 Mg.upf
CELL_PARAMETERS angstrom
10.571 0.000 0.000
0.000 6.124 0.000
-3.250 0.000 5.934
ATOMIC_POSITIONS crystal
Sr 0.000 0.095 0.250
Sr 0.000 0.905 0.750
Sr 0.500 0.405 0.750
Sr 0.500 0.595 0.250
Mg 0.164 0.418 0.748
Mg 0.164 0.582 0.248
Mg 0.336 0.082 0.252
Mg 0.336 0.918 0.752
Mg 0.664 0.082 0.248
Mg 0.664 0.918 0.748
Mg 0.836 0.418 0.752
Mg 0.836 0.582 0.252

=====

Entry 4:
! SrMg GGA-PBE optimized geometry; values from VASP
! Crystal system: monoclinic
! Space group: Cm, No. 8
&SYSTEM
  ibrav = 0, nat = 12, ntyp = 2
/
ATOMIC_SPECIES
Sr 87.62 Sr.upf
Mg 24.30 Mg.upf
CELL_PARAMETERS angstrom
14.497 0.000 0.000
0.000 4.000 0.000
-1.804 0.000 7.741
ATOMIC_POSITIONS crystal
Sr 0.000 0.000 0.000
Sr 0.029 0.000 0.501
Sr 0.222 0.500 0.874
Sr 0.500 0.500 0.000
Sr 0.529 0.500 0.501
Sr 0.722 0.000 0.874
Mg 0.196 0.500 0.323
Mg 0.332 0.000 0.605
Mg 0.348 0.000 0.220
Mg 0.696 0.000 0.323
Mg 0.832 0.500 0.605
Mg 0.848 0.500 0.220

=====

Entry 5:
! SrMg2 GGA-PBE optimized geometry; values from VASP
! Crystal system: hexagonal
! Space group: P-62m, No. 189
&SYSTEM
  ibrav = 0, nat = 6, ntyp = 2
/
ATOMIC_SPECIES
Sr 87.62 Sr.upf
Mg 24.30 Mg.upf
CELL_PARAMETERS angstrom
6.347 0.000 0.000
-3.173 5.496 0.000
0.000 0.000 5.607
ATOMIC_POSITIONS crystal
Sr 0.333 0.667 0.000
Sr 0.667 0.333 0.000
Mg 0.000 0.000 0.000
Mg 0.000 0.712 0.500
Mg 0.288 0.288 0.500
Mg 0.712 0.000 0.500

=====

Entry 6:
! SrMg2 GGA-PBE optimized geometry; values from VASP
! Crystal system: hexagonal
! Space group: P6_3/mmc, No. 194
&SYSTEM
  ibrav = 0, nat = 12, ntyp = 2
/
ATOMIC_SPECIES
Sr 87.62 Sr.upf
Mg 24.30 Mg.upf
CELL_PARAMETERS angstrom
6.476 0.000 0.000
-3.238 5.609 0.000
0.000 0.000 10.365
ATOMIC_POSITIONS crystal
Sr 0.333 0.667 0.061
Sr 0.333 0.667 0.439
Sr 0.667 0.333 0.561
Sr 0.667 0.333 0.939
Mg 0.000 0.000 0.000
Mg 0.000 0.000 0.500
Mg 0.166 0.332 0.750
Mg 0.166 0.834 0.750
Mg 0.332 0.166 0.250
Mg 0.668 0.834 0.750
Mg 0.834 0.166 0.250
Mg 0.834 0.668 0.250

=====

Entry 7:
! Sr3Mg GGA-PBE optimized geometry; values from VASP
! Crystal system: cubic
! Space group: Fm-3m, No. 225
&SYSTEM
  ibrav = 0, nat = 16, ntyp = 2
/
ATOMIC_SPECIES
Sr 87.62 Sr.upf
Mg 24.30 Mg.upf
CELL_PARAMETERS angstrom
8.892 0.000 0.000
0.000 8.892 0.000
0.000 0.000 8.892
ATOMIC_POSITIONS crystal
Sr 0.000 0.000 0.000
Sr 0.000 0.500 0.500
Sr 0.250 0.250 0.250
Sr 0.250 0.250 0.750
Sr 0.250 0.750 0.250
Sr 0.250 0.750 0.750
Sr 0.500 0.000 0.500
Sr 0.500 0.500 0.000
Sr 0.750 0.250 0.250
Sr 0.750 0.250 0.750
Sr 0.750 0.750 0.250
Sr 0.750 0.750 0.750
Mg 0.000 0.000 0.500
Mg 0.000 0.500 0.000
Mg 0.500 0.000 0.000
Mg 0.500 0.500 0.500

=====

Entry 8:
! Sr3Mg GGA-PBE optimized geometry; values from VASP
! Crystal system: orthorhombic
! Space group: Imm2, No. 44
&SYSTEM
  ibrav = 0, nat = 8, ntyp = 2
/
ATOMIC_SPECIES
Sr 87.62 Sr.upf
Mg 24.30 Mg.upf
CELL_PARAMETERS angstrom
4.318 0.000 0.000
0.000 12.911 0.000
0.000 0.000 6.677
ATOMIC_POSITIONS crystal
Sr 0.000 0.000 0.000
Sr 0.000 0.215 0.456
Sr 0.000 0.785 0.456
Sr 0.500 0.285 0.956
Sr 0.500 0.500 0.500
Sr 0.500 0.715 0.956
Mg 0.000 0.500 0.042
Mg 0.500 0.000 0.542

=====

Entry 9:
! SrMg3 GGA-PBE optimized geometry; values from VASP
! Crystal system: hexagonal
! Space group: P6_3/mmc, No. 194
&SYSTEM
  ibrav = 0, nat = 8, ntyp = 2
/
ATOMIC_SPECIES
Sr 87.62 Sr.upf
Mg 24.30 Mg.upf
CELL_PARAMETERS angstrom
7.195 0.000 0.000
-3.597 6.231 0.000
0.000 0.000 5.328
ATOMIC_POSITIONS crystal
Sr 0.333 0.667 0.250
Sr 0.667 0.333 0.750
Mg 0.153 0.306 0.750
Mg 0.153 0.847 0.750
Mg 0.306 0.153 0.250
Mg 0.694 0.847 0.750
Mg 0.847 0.153 0.250
Mg 0.847 0.694 0.250

=====

Entry 10:
! SrMg2 GGA-PBE optimized geometry; values from VASP
! Crystal system: orthorhombic
! Space group: Amm2, No. 38
&SYSTEM
  ibrav = 0, nat = 12, ntyp = 2
/
ATOMIC_SPECIES
Sr 87.62 Sr.upf
Mg 24.30 Mg.upf
CELL_PARAMETERS angstrom
5.485 0.000 0.000
0.000 3.841 0.000
0.000 0.000 19.107
ATOMIC_POSITIONS crystal
Sr 0.000 0.000 0.000
Sr 0.000 0.000 0.308
Sr 0.000 0.500 0.500
Sr 0.000 0.500 0.808
Mg 0.000 0.000 0.657
Mg 0.000 0.500 0.157
Mg 0.500 0.000 0.120
Mg 0.500 0.000 0.432
Mg 0.500 0.000 0.752
Mg 0.500 0.500 0.252
Mg 0.500 0.500 0.620
Mg 0.500 0.500 0.932

=====

Entry 11:
! Sr6Mg23 GGA-PBE optimized geometry; values from VASP
! Crystal system: cubic
! Space group: Fm-3m, No. 225
&SYSTEM
  ibrav = 0, nat = 29, ntyp = 2
/
ATOMIC_SPECIES
Sr 87.62 Sr.upf
Mg 24.30 Mg.upf
CELL_PARAMETERS angstrom
0.000 7.460 7.460
7.460 0.000 7.460
7.460 7.460 0.000
ATOMIC_POSITIONS crystal
Sr 0.207 0.207 0.793
Sr 0.207 0.793 0.207
Sr 0.207 0.793 0.793
Sr 0.793 0.207 0.207
Sr 0.793 0.207 0.793
Sr 0.793 0.793 0.207
Mg 0.000 0.000 0.500
Mg 0.000 0.500 0.000
Mg 0.000 0.500 0.500
Mg 0.134 0.622 0.622
Mg 0.175 0.175 0.175
Mg 0.175 0.175 0.476
Mg 0.175 0.476 0.175
Mg 0.378 0.378 0.378
Mg 0.378 0.378 0.866
Mg 0.378 0.866 0.378
Mg 0.476 0.175 0.175
Mg 0.500 0.000 0.000
Mg 0.500 0.000 0.500
Mg 0.500 0.500 0.000
Mg 0.500 0.500 0.500
Mg 0.524 0.825 0.825
Mg 0.622 0.134 0.622
Mg 0.622 0.622 0.134
Mg 0.622 0.622 0.622
Mg 0.825 0.524 0.825
Mg 0.825 0.825 0.524
Mg 0.825 0.825 0.825
Mg 0.866 0.378 0.378

=====

Entry 12:
! SrMg GGA-PBE optimized geometry; values from VASP
! Crystal system: hexagonal
! Space group: P6_3/mmc, No. 194
&SYSTEM
  ibrav = 0, nat = 4, ntyp = 2
/
ATOMIC_SPECIES
Sr 87.62 Sr.upf
Mg 24.30 Mg.upf
CELL_PARAMETERS angstrom
6.020 0.000 0.000
-3.010 5.213 0.000
0.000 0.000 7.103
ATOMIC_POSITIONS crystal
Sr 0.333 0.667 0.250
Sr 0.667 0.333 0.750
Mg 0.333 0.667 0.750
Mg 0.667 0.333 0.250

=====

| no. | DFT total energy (eV/cell) |
| --- | --- |
| 1 | -13.06 |
| 2 | -147.96 |
| 3 | -18.77 |
| 4 | -19.47 |
| 5 | -9.41 |
| 6 | -20.52 |
| 7 | -25.51 |
| 8 | -13.11 |
| 9 | -13.11 |
| 10 | -18.24 |
| 11 | -48.98 |
| 12 | -4.61 |